Entry 1:
This record from the Materials Project database describes a geometry-optimized GdTiCdSbO7 structure. The functional is GGA-PBE.

a = 7.324 Å, b = 7.324 Å, c = 10.392 Å
α = 90.00°, β = 90.00°, γ = 90.00°
Fractional positions:
Gd1 0.000 0.736 0.000
Gd2 0.000 0.264 0.500
Gd3 0.264 0.000 0.250
Gd4 0.736 0.000 0.750
Ti1 0.762 0.000 0.250
Ti2 0.000 0.762 0.500
Ti3 0.238 0.000 0.750
Ti4 0.000 0.238 0.000
Cd1 0.500 0.742 0.000
Cd2 0.258 0.500 0.250
Cd3 0.500 0.258 0.500
Cd4 0.742 0.500 0.750
Sb1 0.244 0.500 0.750
Sb2 0.500 0.756 0.500
Sb3 0.500 0.244 0.000
Sb4 0.756 0.500 0.250
O1 0.253 0.747 0.125
O2 0.551 0.946 0.368
O3 0.765 0.751 0.177
O4 0.747 0.253 0.625
O5 0.952 0.952 0.375
O6 0.048 0.048 0.875
O7 0.054 0.449 0.882
O8 0.048 0.952 0.625
O9 0.249 0.235 0.073
O10 0.235 0.249 0.677
O11 0.249 0.765 0.427
O12 0.449 0.946 0.632
O13 0.449 0.054 0.868
O14 0.450 0.450 0.875
O15 0.550 0.550 0.375
O16 0.551 0.054 0.132
O17 0.550 0.450 0.125
O18 0.751 0.765 0.573
O19 0.765 0.249 0.323
O20 0.747 0.747 0.875
O21 0.751 0.235 0.927
O22 0.946 0.551 0.382
O23 0.952 0.048 0.125
O24 0.946 0.449 0.118
O25 0.054 0.551 0.618
O26 0.235 0.751 0.823
O27 0.253 0.253 0.375
O28 0.450 0.550 0.625

Calculated values
E (MP2020) ... -0.3084 hartree per atom
Energy relative to the elements ... -2.79 eV per atom

Entry 2:
This record from the Materials Project database describes a geometry-optimized GdTiCdSbO7 structure. The functional is GGA-PBE.

a = 7.317 Å, b = 7.317 Å, c = 7.317 Å
α = 120.88°, β = 118.54°, γ = 90.52°
Fractional positions:
Gd1 0.500 0.000 0.500
Gd2 0.000 0.000 0.000
Ti1 0.000 0.500 0.000
Ti2 0.000 0.000 0.500
Cd1 0.500 0.000 0.000
Cd2 0.500 0.500 0.500
Sb1 0.000 0.500 0.500
Sb2 0.500 0.500 0.000
O1 0.927 0.177 0.750
O2 0.328 0.578 0.750
O3 0.935 0.582 0.761
O4 0.321 0.174 0.739
O5 0.935 0.174 0.353
O6 0.321 0.582 0.147
O7 0.073 0.823 0.250
O8 0.672 0.422 0.250
O9 0.065 0.418 0.239
O10 0.679 0.826 0.261
O11 0.065 0.826 0.647
O12 0.679 0.418 0.853
O13 0.626 0.876 0.750
O14 0.374 0.124 0.250

Calculated values
E (MP2020) ... -0.3084 hartree per atom
Energy relative to the elements ... -2.79 eV per atom

Entry 3:
This record from the Materials Project database describes a geometry-optimized GdCdPd structure. The functional is GGA-PBE.

a = 7.656 Å, b = 7.656 Å, c = 3.962 Å
α = 90.00°, β = 90.00°, γ = 120.00°
Fractional positions:
Gd1 0.593 0.000 0.000
Gd2 0.407 0.407 0.000
Gd3 0.000 0.593 0.000
Cd1 0.254 0.000 0.500
Cd2 0.746 0.746 0.500
Cd3 0.000 0.254 0.500
Pd1 0.667 0.333 0.500
Pd2 0.333 0.667 0.500
Pd3 0.000 0.000 0.000

Calculated values
Energy relative to the elements ... -0.69 eV per atom

Which of these has the highest energy relative to the elements? GdCdPd

Which value of energy relative to the elements does entry 3 give? -0.69 eV per atom